[1]
First-principles (GGA-PBE) data for a geometry-optimized Na6La4Sc4Si3S9O48 structure, as listed in the Materials Project.

Cell and atoms, written as extended XYZ:
```
222
Lattice="9.256 0.000 0.000 0.002 16.038 0.000 0.043 0.044 24.221" Properties=species:S:1:pos:R:3 pbc="T T T"
Na 0.000 0.000 0.000
Na 9.276 0.039 12.262
Na 0.017 10.930 7.910
Na 1.236 8.225 5.976
Na 1.277 2.723 14.266
Na 3.265 10.759 2.041
Na 3.316 0.205 18.323
Na 4.487 2.748 20.235
Na 4.503 8.033 0.083
Na 4.608 13.476 16.347
Na 4.630 13.616 3.902
Na 4.667 8.064 12.312
Na 4.733 2.788 7.913
Na 5.929 10.742 14.214
Na 7.806 2.675 1.984
Na 9.061 10.883 20.083
Na 9.191 5.569 16.172
Na 9.184 5.449 4.013
La 0.083 0.268 20.692
La 4.522 2.781 11.773
La 4.568 2.521 23.793
La 4.546 8.287 8.491
La 4.537 13.407 7.462
La 4.691 8.202 20.618
La 4.678 2.692 4.386
La 9.095 10.733 16.558
La 9.114 0.147 8.497
La 9.189 10.694 11.796
La 9.271 5.390 19.602
La 9.280 10.849 23.867
Sc 0.023 10.728 4.364
Sc 0.048 0.175 15.805
Sc 0.019 5.632 0.526
Sc 4.487 13.688 12.664
Sc 4.482 8.179 3.624
Sc 4.520 2.701 16.528
Sc 4.560 13.694 0.396
Sc 4.635 13.470 19.786
Sc 4.728 8.292 15.859
Sc 9.067 0.241 3.694
Sc 9.132 5.315 7.558
Sc 9.144 5.573 12.605
Si 1.358 8.393 2.104
Si 1.414 2.514 17.993
Si 3.109 10.494 5.897
Si 3.142 0.401 14.219
Si 3.286 15.769 22.103
Si 5.902 10.670 18.166
Si 6.057 0.248 2.048
Si 7.715 8.310 14.135
Si 7.842 2.564 6.047
S 1.245 3.251 10.128
S 1.246 7.695 10.067
S 1.335 13.230 2.126
S 1.393 13.849 18.141
S 1.639 2.815 2.042
S 1.895 13.506 10.209
S 1.930 8.162 18.095
S 2.613 0.137 5.988
S 2.662 5.526 22.325
S 2.872 10.846 14.131
S 3.131 5.811 6.071
S 3.174 5.239 14.203
S 3.304 11.270 22.259
S 5.880 5.735 18.020
S 5.917 15.793 10.184
S 5.923 11.192 10.230
S 6.016 5.296 1.975
S 6.398 10.783 2.122
S 6.459 0.157 18.088
S 6.625 5.476 10.090
S 7.193 13.500 22.210
S 7.365 8.144 5.998
S 7.395 2.806 14.194
S 7.748 13.344 14.091
S 7.886 3.225 22.361
S 7.895 7.798 22.294
S 7.921 13.729 5.916
O 0.647 1.891 10.097
O 0.648 9.065 10.107
O 0.664 6.915 1.856
O 0.664 9.130 3.412
O 0.715 3.991 18.033
O 0.691 3.978 1.838
O 0.716 12.718 0.872
O 0.750 1.708 16.715
O 0.778 7.035 8.825
O 0.786 3.921 11.375
O 0.805 14.421 19.364
O 0.796 1.594 2.218
O 0.833 14.579 2.386
O 0.854 4.030 8.917
O 0.858 6.935 11.289
O 0.888 12.474 17.989
O 1.036 6.970 18.062
O 1.029 12.300 10.272
O 1.038 14.691 16.952
O 1.024 12.272 3.242
O 1.060 14.734 10.229
O 1.102 9.393 18.078
O 1.242 1.625 19.350
O 1.212 9.403 0.820
O 1.459 10.597 5.757
O 1.504 0.252 14.409
O 1.622 5.825 6.216
O 1.649 15.908 22.220
O 1.666 5.236 14.009
O 1.728 5.581 23.493
O 1.718 0.058 4.829
O 1.812 11.157 22.236
O 1.865 0.159 7.272
O 1.888 5.439 21.062
O 2.043 10.639 12.920
O 2.047 11.128 15.308
O 2.458 3.099 3.229
O 2.462 2.616 0.838
O 2.681 8.186 19.368
O 2.663 13.415 8.945
O 2.733 3.144 10.110
O 2.733 7.818 10.090
O 2.829 8.090 16.923
O 2.817 13.557 11.378
O 2.836 13.205 1.968
O 2.891 13.852 18.221
O 3.002 8.254 2.307
O 3.063 2.618 17.827
O 3.286 1.390 12.907
O 3.299 9.603 7.277
O 3.453 4.292 15.318
O 3.444 1.368 5.984
O 3.440 6.650 4.882
O 3.476 6.770 22.343
O 3.530 4.337 22.401
O 3.511 14.979 5.971
O 3.622 4.436 5.934
O 3.679 6.596 14.442
O 3.697 12.035 21.054
O 3.719 9.625 14.298
O 3.737 14.965 23.477
O 3.728 6.401 7.294
O 3.759 11.910 23.525
O 3.791 14.998 20.731
O 3.794 4.722 12.945
O 3.781 9.656 4.655
O 3.813 12.006 13.909
O 3.814 11.960 5.971
O 3.845 14.964 13.949
O 3.868 1.159 15.483
O 3.891 9.897 22.223
O 3.965 1.238 22.073
O 5.156 12.128 18.319
O 5.297 9.832 10.229
O 5.317 4.386 17.798
O 5.320 0.904 3.350
O 5.329 1.123 10.229
O 5.363 6.250 19.313
O 5.362 9.893 16.776
O 5.358 4.689 0.807
O 5.370 14.824 1.787
O 5.447 11.919 11.424
O 5.473 15.170 8.922
O 5.469 6.649 2.226
O 5.468 11.943 1.988
O 5.481 14.999 11.363
O 5.521 6.657 16.910
O 5.544 15.008 18.203
O 5.544 9.554 2.301
O 5.578 1.370 17.898
O 5.577 11.893 8.969
O 5.618 9.697 19.450
O 5.770 4.263 10.132
O 5.775 6.695 10.057
O 5.860 4.434 3.183
O 5.948 1.329 0.813
O 6.079 8.244 14.361
O 6.225 2.803 6.025
O 6.261 13.388 13.863
O 6.357 13.530 23.434
O 6.365 13.398 20.976
O 6.408 3.134 22.353
O 6.411 7.889 22.361
O 6.429 13.650 5.973
O 6.478 7.915 4.852
O 6.510 3.042 15.344
O 6.598 8.349 7.254
O 6.614 2.612 12.947
O 7.170 10.585 0.872
O 7.215 0.357 19.335
O 7.314 10.980 3.271
O 7.359 16.005 16.924
O 7.372 5.663 18.070
O 7.400 15.885 10.244
O 7.408 11.052 10.217
O 7.469 5.407 8.861
O 7.477 5.540 11.309
O 7.513 5.359 1.769
O 7.539 10.843 18.122
O 7.696 0.182 2.298
O 7.860 9.350 12.860
O 7.919 12.462 15.274
O 8.025 14.722 22.178
O 8.072 12.291 22.243
O 8.154 1.659 7.371
O 8.250 3.919 21.097
O 8.234 9.357 5.822
O 8.264 1.599 14.370
O 8.282 14.638 4.815
O 8.302 14.690 14.313
O 8.298 6.966 6.177
O 8.332 7.003 23.475
O 8.333 7.178 21.031
O 8.331 3.984 14.010
O 8.387 3.965 23.548
O 8.409 6.847 13.811
O 8.410 12.734 12.908
O 8.426 1.833 4.687
O 8.433 14.240 7.220
O 8.481 9.164 22.344
O 8.490 1.868 22.373
O 8.480 8.950 15.409
O 8.481 12.366 5.726
O 8.605 4.048 6.231
```

Computed properties:
* space-group type: P1
* formation energy: -2.724 eV per atom
* energy with MP2020 corrections: -7.37 eV/atom

***

[2]
First-principles (GGA-PBE) data for a geometry-optimized Na6La8Si3S9O48 structure, as listed in the Materials Project.

Cell and atoms, written as extended XYZ:
```
222
Lattice="9.579 0.000 0.000 0.024 16.630 0.000 0.006 0.256 25.016" Properties=species:S:1:pos:R:3 pbc="T T T"
Na 0.000 0.000 0.000
Na 0.018 5.469 20.550
Na 0.055 0.138 12.235
Na 0.186 11.205 16.457
Na 0.228 10.890 4.211
Na 0.409 5.481 8.044
Na 1.621 14.031 14.430
Na 3.579 5.536 2.104
Na 4.739 14.011 20.462
Na 4.798 8.288 0.061
Na 4.830 2.585 16.399
Na 4.924 2.777 4.302
Na 5.101 8.448 12.390
Na 5.166 13.930 8.352
Na 6.310 5.640 14.431
Na 6.348 16.483 6.398
Na 8.358 8.284 18.511
Na 8.376 13.862 2.108
La 0.061 16.504 8.658
La 0.066 10.936 12.821
La 0.087 11.178 7.722
La 0.124 16.513 3.679
La 0.127 5.623 16.921
La 0.151 5.643 11.975
La 0.186 5.779 24.482
La 0.261 16.600 21.058
La 0.268 10.795 0.321
La 0.274 11.384 20.244
La 0.295 16.639 16.174
La 0.283 5.596 4.524
La 4.833 8.178 3.721
La 4.868 14.035 16.978
La 4.877 8.146 8.546
La 4.912 2.804 7.862
La 4.919 2.491 12.726
La 4.979 8.296 21.104
La 4.992 14.106 24.485
La 5.003 14.121 11.889
La 5.005 8.328 16.123
La 5.013 13.835 4.468
La 5.032 2.970 20.193
La 5.058 2.482 0.345
Si 1.664 14.169 18.565
Si 1.679 7.915 1.915
Si 3.468 16.396 14.471
Si 3.520 5.660 6.051
Si 6.417 0.226 10.135
Si 6.450 5.914 18.573
Si 6.474 16.227 1.991
Si 8.272 8.052 14.534
Si 8.290 14.073 6.011
S 1.604 2.602 18.665
S 1.615 8.596 10.262
S 1.617 13.512 10.357
S 1.613 2.990 1.918
S 1.997 2.794 10.298
S 2.027 8.393 18.655
S 2.032 13.758 1.911
S 3.097 16.592 6.122
S 3.102 5.567 14.441
S 3.119 11.198 22.797
S 3.501 10.773 6.137
S 3.504 0.413 22.769
S 3.513 11.444 14.418
S 3.515 5.353 22.852
S 6.402 5.292 10.384
S 6.415 11.285 1.903
S 6.428 10.844 18.667
S 6.819 11.035 10.276
S 6.821 5.453 1.933
S 6.886 16.706 18.655
S 7.833 8.282 6.133
S 7.884 2.882 22.781
S 7.901 13.868 14.475
S 8.274 2.437 6.111
S 8.278 3.109 14.438
S 8.307 8.715 22.714
S 8.318 13.700 22.877
O 0.940 12.676 18.650
O 1.005 7.232 10.320
O 1.019 3.969 18.618
O 1.035 14.879 10.275
O 1.034 3.620 0.702
O 1.036 9.426 1.823
O 1.063 1.913 19.863
O 1.073 9.548 18.729
O 1.070 12.606 1.826
O 1.088 7.174 3.239
O 1.106 9.286 9.059
O 1.108 1.596 2.010
O 1.119 12.865 11.604
O 1.121 4.001 10.362
O 1.137 14.851 17.171
O 1.175 1.566 10.233
O 1.192 15.083 19.857
O 1.197 7.150 18.617
O 1.196 12.707 9.172
O 1.203 15.004 1.947
O 1.261 9.361 11.490
O 1.266 1.843 17.433
O 1.279 3.788 3.120
O 1.291 6.983 0.605
O 1.812 16.438 14.520
O 1.872 5.538 6.116
O 2.002 11.441 14.344
O 2.013 10.864 6.210
O 2.020 0.282 22.739
O 2.029 5.479 22.851
O 2.236 5.623 13.240
O 2.252 16.559 7.326
O 2.249 11.092 24.003
O 2.257 11.298 21.585
O 2.267 16.674 4.889
O 2.269 5.453 15.666
O 2.850 13.604 3.130
O 2.854 8.535 17.434
O 2.854 2.728 11.511
O 2.850 2.928 9.084
O 2.886 8.346 19.861
O 2.891 13.805 0.703
O 3.098 13.587 10.352
O 3.089 2.701 18.738
O 3.099 8.464 10.235
O 3.112 2.999 1.814
O 3.296 13.994 18.635
O 3.335 7.961 1.942
O 3.811 15.435 13.183
O 3.831 9.996 4.905
O 3.847 12.228 15.645
O 3.858 1.178 23.998
O 3.901 4.544 21.662
O 3.923 6.825 14.474
O 3.948 15.357 6.093
O 3.964 12.414 22.870
O 3.967 9.978 22.736
O 3.985 6.652 7.292
O 4.000 4.716 24.099
O 4.006 6.353 4.617
O 4.008 10.045 14.535
O 4.011 1.134 6.133
O 4.018 1.103 21.569
O 4.054 15.637 15.802
O 4.046 10.082 7.332
O 4.054 4.423 14.382
O 4.081 12.072 13.216
O 4.086 12.126 6.063
O 4.104 1.268 14.430
O 4.122 6.718 22.761
O 4.133 15.676 22.825
O 4.236 4.184 6.140
O 5.730 15.362 10.188
O 5.799 4.423 18.756
O 5.795 6.657 10.284
O 5.802 1.099 1.834
O 5.834 11.924 0.696
O 5.841 10.201 19.869
O 5.857 4.298 1.844
O 5.884 6.581 17.178
O 5.907 15.549 3.368
O 5.903 9.897 2.006
O 5.916 4.658 11.633
O 5.936 12.228 18.562
O 5.932 0.947 8.729
O 5.943 1.113 11.439
O 5.949 1.257 18.723
O 5.974 12.246 10.342
O 5.982 6.695 1.977
O 5.983 9.806 10.217
O 6.028 4.484 9.191
O 6.047 6.936 19.813
O 6.061 15.232 0.731
O 6.073 15.457 18.640
O 6.094 12.089 3.112
O 6.099 10.038 17.453
O 6.611 8.083 14.490
O 6.633 14.036 6.035
O 6.777 2.429 6.168
O 6.780 3.149 14.367
O 6.822 8.588 22.713
O 6.836 13.827 22.889
O 6.968 8.251 7.340
O 7.004 8.391 4.905
O 7.009 2.981 21.581
O 7.029 2.792 24.001
O 7.067 13.715 15.686
O 7.066 13.914 13.251
O 7.652 5.297 3.138
O 7.667 5.506 0.709
O 7.689 10.935 11.490
O 7.682 0.195 17.431
O 7.698 11.130 9.074
O 7.751 16.673 19.865
O 7.887 5.420 10.388
O 7.914 11.292 1.797
O 7.928 10.812 18.767
O 8.081 16.709 10.236
O 8.109 5.877 18.594
O 8.132 16.282 1.961
O 8.632 1.631 4.902
O 8.644 3.909 15.648
O 8.642 7.033 6.112
O 8.684 12.884 21.684
O 8.683 15.113 7.219
O 8.684 9.522 23.909
O 8.688 7.025 13.308
O 8.739 15.103 14.525
O 8.734 1.665 22.723
O 8.733 4.106 22.834
O 8.745 9.462 6.184
O 8.773 1.727 14.540
O 8.783 3.817 6.000
O 8.798 9.362 21.475
O 8.814 13.046 24.112
O 8.817 7.424 15.960
O 8.846 14.677 4.573
O 8.863 12.704 14.407
O 8.850 1.803 7.317
O 8.855 3.756 13.233
O 8.911 7.350 22.806
O 8.922 9.554 14.378
O 8.933 15.059 22.781
O 8.938 12.567 6.178
```

Computed properties:
* space-group type: P1
* formation energy: -2.750 eV per atom
* energy with MP2020 corrections: -7.32 eV/atom

***

Which of these has the highest formation energy? Na6La4Sc4Si3S9O48